The following is a PBE+U calculation of a geometry-optimized Zn3W2O7 structure, from the Materials Project.

Cell and atoms, written as POSCAR:
```
Zn3W2O7
1.0
9.4478 -2.7229 0.0000
9.4478 2.7229 0.0000
0.0000 0.0000 5.3891
Zn W O
6 4 14
direct
0.0783 0.5148 0.4579
0.2403 0.7597 0.5000
0.4852 0.9217 0.4579
0.5148 0.0783 0.9579
0.7597 0.2403 0.0000
0.9217 0.4852 0.9579
0.1437 0.6494 0.9822
0.3506 0.8563 0.9822
0.6494 0.1437 0.4822
0.8563 0.3506 0.4822
0.0553 0.2104 0.1452
0.1239 0.8761 0.8769
0.1603 0.4292 0.0829
0.2104 0.0553 0.6452
0.3484 0.4985 0.3203
0.4292 0.1603 0.5829
0.4985 0.3484 0.8203
0.5015 0.6516 0.3203
0.5708 0.8397 0.0829
0.6516 0.5015 0.8203
0.7896 0.9447 0.1452
0.8397 0.5708 0.5829
0.8761 0.1239 0.3769
0.9447 0.7896 0.6452
```

Properties
E_form (meV/atom): -1830
Total magnetic moment (Bohr magnetons per cell): 8.00
Raw total energy (eV/cell): -145.2
Space-group type: Cmc2_1, No. 36
Largest piezoelectric modulus (C/m²): 0.36

The following is a PBE+U calculation of a geometry-optimized Mg2Ta2CrO8 structure, from the Materials Project.

Cell and atoms, written as POSCAR:
```
Mg2Ta2CrO8
1.0
5.2085 0.0000 0.0000
-0.1015 6.0789 0.0000
-0.1777 -2.6289 9.7284
Mg Ta Cr O
4 4 2 16
direct
0.0000 0.0000 0.0000
0.0081 0.5468 0.0895
0.4967 0.2859 0.0036
0.5053 0.8327 0.0930
0.0125 0.1260 0.3083
0.4926 0.7072 0.7846
0.5176 0.4513 0.3099
0.9875 0.3818 0.7830
0.0033 0.7652 0.5476
0.5007 0.0682 0.5450
0.1292 0.2596 0.9303
0.1628 0.9737 0.4277
0.1886 0.4288 0.3955
0.2060 0.7140 0.9239
0.2998 0.1189 0.1692
0.3165 0.4045 0.6973
0.3423 0.8588 0.6650
0.3757 0.5732 0.1626
0.6316 0.9672 0.9306
0.6778 0.7033 0.4244
0.6810 0.2139 0.3973
0.7035 0.5042 0.9207
0.8020 0.3281 0.1727
0.8246 0.6196 0.6959
0.8262 0.1313 0.6676
0.8740 0.8655 0.1623
```

Properties
E_form (meV/atom): -3070
Total magnetic moment (Bohr magnetons per cell): 8.00
Raw total energy (eV/cell): -217.1
Space-group type: P1, No. 1

The following is a PBE+U calculation of a geometry-optimized K2RbMn2F7 structure, from the Materials Project.

Cell and atoms, written as POSCAR:
```
K2RbMn2F7
1.0
-2.1418 2.1418 10.9976
2.1418 -2.1418 10.9976
2.1418 2.1418 -10.9976
K Rb Mn F
2 1 2 7
direct
0.1862 0.1862 0.0000
0.8138 0.8138 0.0000
0.0000 0.0000 0.0000
0.4008 0.4008 0.0000
0.5992 0.5992 0.0000
0.0987 0.5987 0.5000
0.3047 0.3047 0.0000
0.4013 0.9013 0.5000
0.5000 0.5000 0.0000
0.5987 0.0987 0.5000
0.6953 0.6953 0.0000
0.9013 0.4013 0.5000
```

Properties
E_form (meV/atom): -3004
Total magnetic moment (Bohr magnetons per cell): 10.00
Raw total energy (eV/cell): -64.4
Space-group type: I4/mmm, No. 139

The following is a PBE+U calculation of a geometry-optimized Rb2MoAs2O9 structure, from the Materials Project.

Cell and atoms, written as POSCAR:
```
Rb2MoAs2O9
1.0
7.6661 0.0000 0.0000
0.2740 7.7888 0.0000
1.9772 3.0647 8.4821
Rb Mo As O
4 2 4 18
direct
0.0836 0.2474 0.1345
0.1896 0.3314 0.6188
0.8104 0.6686 0.3812
0.9164 0.7526 0.8655
0.4261 0.7367 0.7547
0.5739 0.2633 0.2453
0.3166 0.8480 0.4018
0.3277 0.6640 0.1423
0.6723 0.3360 0.8577
0.6834 0.1520 0.5982
0.1129 0.7487 0.4752
0.1191 0.7193 0.1244
0.2691 0.5525 0.8354
0.2870 0.9219 0.7327
0.3308 0.0807 0.3394
0.3449 0.4401 0.2546
0.4310 0.7966 0.2295
0.4614 0.7468 0.5275
0.4830 0.7224 0.9627
0.5170 0.2776 0.0373
0.5386 0.2532 0.4725
0.5690 0.2034 0.7705
0.6551 0.5599 0.7454
0.6692 0.9193 0.6606
0.7130 0.0781 0.2673
0.7309 0.4475 0.1646
0.8809 0.2807 0.8756
0.8871 0.2513 0.5248
```

Properties
E_form (meV/atom): -1957
Total magnetic moment (Bohr magnetons per cell): 0.01
Raw total energy (eV/cell): -169.3
Space-group type: P-1, No. 2

The following is a PBE+U calculation of a geometry-optimized Eu4MgFe4O10 structure, from the Materials Project.

Cell and atoms, written as POSCAR:
```
Eu4MgFe4O10
1.0
5.4836 0.0000 0.0000
-0.0997 5.8488 0.0000
-2.6825 -2.9074 8.0563
Eu Mg Fe O
4 1 4 10
direct
0.0000 0.0000 0.0000
0.1989 0.1574 0.4097
0.5051 0.4636 0.0222
0.7157 0.7166 0.4324
0.1386 0.1092 0.7161
0.1134 0.5869 0.2224
0.3351 0.7167 0.7166
0.6078 0.0809 0.2107
0.7809 0.4265 0.7159
0.0294 0.3389 0.9072
0.2387 0.8105 0.5151
0.3517 0.8279 0.2034
0.3821 0.3519 0.2533
0.4089 0.3735 0.7158
0.4383 0.0111 0.9169
0.8383 0.1480 0.5245
0.8423 0.8167 0.1790
0.8658 0.3428 0.2284
0.9163 0.7504 0.7163
```

Properties
E_form (meV/atom): -2345
Total magnetic moment (Bohr magnetons per cell): 42.68
Raw total energy (eV/cell): -154.7
Space-group type: P1, No. 1

The following is a PBE+U calculation of a geometry-optimized KMnO2 structure, from the Materials Project.

Cell and atoms, written as POSCAR:
```
KMnO2
1.0
13.0975 0.0000 0.0000
0.0000 2.9428 0.0000
0.0000 0.0000 6.3601
K Mn O
4 4 8
direct
0.1375 0.2500 0.0164
0.3625 0.7500 0.5164
0.6375 0.2500 0.4836
0.8625 0.7500 0.9836
0.1015 0.2500 0.5093
0.3985 0.7500 0.0093
0.6015 0.2500 0.9907
0.8985 0.7500 0.4907
0.0462 0.7500 0.6837
0.1715 0.7500 0.3685
0.3285 0.2500 0.8685
0.4538 0.2500 0.1837
0.5462 0.7500 0.8163
0.6715 0.7500 0.1315
0.8285 0.2500 0.6315
0.9538 0.2500 0.3163
```

Properties
E_form (meV/atom): -1894
Total magnetic moment (Bohr magnetons per cell): 16.00
Raw total energy (eV/cell): -98.8
Space-group type: Pnma, No. 62

The following is a PBE+U calculation of a geometry-optimized MgNi4O4F8 structure, from the Materials Project.

Cell and atoms, written as POSCAR:
```
MgNi4O4F8
1.0
3.9881 0.0000 0.0000
-0.1000 7.8232 0.0000
-0.1674 -3.4487 7.0419
Mg Ni O F
1 4 4 8
direct
0.0000 0.0000 0.0000
0.1272 0.8687 0.3408
0.2182 0.3877 0.3543
0.6343 0.0242 0.6749
0.7348 0.5212 0.6977
0.0354 0.7636 0.0583
0.2895 0.2567 0.0556
0.4854 0.0969 0.9767
0.8387 0.6087 0.9787
0.1271 0.1027 0.2776
0.1400 0.0038 0.6367
0.1803 0.6246 0.3406
0.2278 0.5147 0.6449
0.6326 0.9054 0.3891
0.6587 0.2805 0.7109
0.7113 0.3978 0.4033
0.7617 0.8134 0.7610
```

Properties
E_form (meV/atom): -1731
Total magnetic moment (Bohr magnetons per cell): 8.00
Raw total energy (eV/cell): -74.8
Space-group type: P1, No. 1

The following is a PBE+U calculation of a geometry-optimized Ca3V2O8 structure, from the Materials Project.

Cell and atoms, written as POSCAR:
```
Ca3V2O8
1.0
5.4675 3.1567 12.7687
-5.4675 3.1567 12.7687
0.0000 -6.3134 12.7687
Ca V O
21 14 56
direct
0.0000 0.0000 0.0000
0.0636 0.4661 0.4378
0.0654 0.6543 0.0703
0.0703 0.0654 0.6543
0.1558 0.5655 0.5680
0.3460 0.9471 0.9052
0.4070 0.4400 0.8461
0.4378 0.0635 0.4661
0.4400 0.8461 0.4070
0.4661 0.4378 0.0636
0.4989 0.4989 0.4989
0.5447 0.9449 0.9905
0.5655 0.5680 0.1558
0.5680 0.1558 0.5655
0.6543 0.0703 0.0654
0.6908 0.6908 0.6908
0.8461 0.4070 0.4400
0.9052 0.3460 0.9471
0.9449 0.9905 0.5447
0.9471 0.9052 0.3460
0.9905 0.5447 0.9449
0.1804 0.2296 0.6819
0.1817 0.7284 0.6819
0.2296 0.6819 0.1804
0.2659 0.2659 0.2659
0.2711 0.3061 0.8208
0.3061 0.8208 0.2711
0.3333 0.8034 0.7645
0.6819 0.1804 0.2296
0.6819 0.1817 0.7284
0.7284 0.6819 0.1817
0.7645 0.3333 0.8034
0.7676 0.7676 0.7676
0.8034 0.7645 0.3333
0.8208 0.2711 0.3061
0.0734 0.4145 0.6336
0.0953 0.3979 0.8347
0.0965 0.2643 0.4037
0.1121 0.6777 0.6701
0.1145 0.6758 0.8635
0.1160 0.1414 0.8702
0.1184 0.8932 0.3509
0.1370 0.9131 0.5756
0.1414 0.8702 0.1160
0.1485 0.8628 0.8758
0.1693 0.1787 0.6116
0.1749 0.6150 0.3616
0.1787 0.6116 0.1693
0.2590 0.3762 0.8906
0.2643 0.4037 0.0965
0.3116 0.3116 0.3116
0.3329 0.9018 0.5952
0.3509 0.1184 0.8932
0.3616 0.1749 0.6150
0.3656 0.6336 0.3732
0.3698 0.6409 0.6152
0.3732 0.3656 0.6336
0.3762 0.8906 0.2590
0.3979 0.8347 0.0953
0.4037 0.0965 0.2643
0.4052 0.6188 0.8339
0.4145 0.6336 0.0734
0.4371 0.8492 0.7415
0.5756 0.1370 0.9131
0.5952 0.3329 0.9018
0.6020 0.8960 0.7519
0.6116 0.1693 0.1787
0.6150 0.3616 0.1749
0.6152 0.3698 0.6409
0.6188 0.8339 0.4052
0.6336 0.0734 0.4145
0.6336 0.3732 0.3656
0.6409 0.6152 0.3698
0.6701 0.1121 0.6777
0.6758 0.8635 0.1145
0.6777 0.6701 0.1121
0.7415 0.4371 0.8492
0.7519 0.6020 0.8960
0.8121 0.8121 0.8121
0.8339 0.4052 0.6188
0.8347 0.0953 0.3979
0.8492 0.7415 0.4371
0.8635 0.1145 0.6758
0.8628 0.8758 0.1485
0.8702 0.1160 0.1414
0.8758 0.1485 0.8628
0.8906 0.2590 0.3762
0.8932 0.3509 0.1184
0.8960 0.7518 0.6020
0.9018 0.5952 0.3329
0.9131 0.5756 0.1370
```

Properties
E_form (meV/atom): -3011
Total magnetic moment (Bohr magnetons per cell): 0.00
Raw total energy (eV/cell): -658.1
Space-group type: R3, No. 146

The following is a PBE+U calculation of a geometry-optimized BaY2NiO5 structure, from the Materials Project.

Cell and atoms, written as POSCAR:
```
BaY2NiO5
1.0
-1.9015 2.9089 5.7289
1.9015 -2.9089 5.7289
1.9015 2.9089 -5.7289
Ba Y Ni O
1 2 1 5
direct
0.0000 0.0000 0.0000
0.2967 0.7967 0.5000
0.7033 0.2033 0.5000
0.5000 0.5000 0.0000
0.1101 0.3506 0.7594
0.4088 0.6494 0.7594
0.5000 0.0000 0.5000
0.5912 0.3506 0.2406
0.8899 0.6494 0.2406
```

Properties
E_form (meV/atom): -3101
Total magnetic moment (Bohr magnetons per cell): 2.00
Raw total energy (eV/cell): -67.3
Space-group type: Immm, No. 71

The following is a PBE+U calculation of a geometry-optimized Er2MgTl2W4O16 structure, from the Materials Project.

Cell and atoms, written as POSCAR:
```
Er2MgTl2W4O16
1.0
7.4805 0.0000 0.0000
-3.3487 6.7056 0.0000
-3.4309 -1.7569 6.8185
Er Mg Tl W O
2 1 2 4 16
direct
0.0000 0.0000 0.0000
0.4838 0.4956 0.4154
0.6254 0.8380 0.2344
0.4758 0.0103 0.9373
0.9884 0.5390 0.3993
0.0655 0.0580 0.5319
0.4496 0.4722 0.8833
0.5545 0.0733 0.5013
0.9547 0.4522 0.9087
0.0562 0.7270 0.9861
0.1083 0.3719 0.1278
0.1787 0.5138 0.8259
0.2206 0.1642 0.8424
0.2835 0.3507 0.5716
0.3227 0.9932 0.5861
0.3839 0.1497 0.2867
0.4465 0.7953 0.3939
0.5444 0.5488 0.1622
0.6335 0.7149 0.8463
0.6947 0.3846 0.9584
0.7179 0.3888 0.6202
0.7790 0.1220 0.7815
0.7992 0.1294 0.4382
0.8528 0.8022 0.5361
0.9347 0.9747 0.2453
```

Properties
E_form (meV/atom): -2463
Total magnetic moment (Bohr magnetons per cell): 2.00
Raw total energy (eV/cell): -179.3
Space-group type: P1, No. 1

The following is a PBE+U calculation of a geometry-optimized Li4Ti3Mn2Ni3O16 structure, from the Materials Project.

Cell and atoms, written as POSCAR:
```
Li4Ti3Mn2Ni3O16
1.0
5.0840 -2.9196 0.0000
5.0840 2.9196 0.0000
-0.2668 0.0000 9.4312
Li Ti Mn Ni O
4 3 2 3 16
direct
0.0000 0.0000 0.0000
0.0094 0.0094 0.5046
0.3294 0.3294 0.6006
0.6598 0.6598 0.0949
0.1604 0.6568 0.2827
0.6568 0.1604 0.2827
0.8272 0.8272 0.7796
0.3260 0.3260 0.0088
0.6577 0.6577 0.5138
0.1677 0.1677 0.2835
0.3374 0.8286 0.7845
0.8286 0.3374 0.7845
0.0016 0.0016 0.6941
0.0377 0.4841 0.1449
0.1528 0.6528 0.8963
0.1616 0.1616 0.9008
0.3338 0.8151 0.3983
0.3389 0.3389 0.3940
0.4738 0.4738 0.1530
0.4841 0.0377 0.1449
0.5192 0.5192 0.6504
0.5272 0.9557 0.6454
0.6528 0.1528 0.8963
0.6615 0.6615 0.8865
0.8151 0.3338 0.3983
0.8258 0.8258 0.3912
0.9557 0.5272 0.6454
0.9924 0.9924 0.1890
```

Properties
E_form (meV/atom): -2048
Total magnetic moment (Bohr magnetons per cell): 0.40
Raw total energy (eV/cell): -181.5
Space-group type: Cm, No. 8

The following is a PBE+U calculation of a geometry-optimized Li9Mn2Co5O16 structure, from the Materials Project.

Cell and atoms, written as POSCAR:
```
Li9Mn2Co5O16
1.0
5.0856 0.0000 0.0000
-0.0491 5.8442 0.0000
-0.8698 -1.5299 9.7307
Li Mn Co O
9 2 5 16
direct
0.0000 0.0000 0.0000
0.0017 0.4875 0.9975
0.2430 0.3671 0.4817
0.2529 0.8669 0.4835
0.4983 0.7425 0.9960
0.5107 0.2427 0.9982
0.7466 0.1198 0.4777
0.7541 0.6114 0.4790
0.8760 0.3054 0.2395
0.1258 0.6805 0.7396
0.3752 0.5530 0.2406
0.1263 0.1798 0.7394
0.3828 0.0612 0.2361
0.6260 0.4288 0.7385
0.6264 0.9317 0.7400
0.8796 0.8057 0.2402
0.0605 0.0629 0.3487
0.0765 0.5916 0.3494
0.1964 0.7617 0.1246
0.2130 0.2862 0.1227
0.3023 0.9490 0.8535
0.3046 0.4705 0.8506
0.4233 0.6565 0.6282
0.4325 0.1546 0.6245
0.5389 0.3468 0.3563
0.5563 0.8254 0.3557
0.6800 0.0148 0.1265
0.6822 0.5442 0.1309
0.8194 0.2064 0.8556
0.8276 0.7041 0.8515
0.9475 0.8895 0.6272
0.9487 0.4106 0.6238
```

Properties
E_form (meV/atom): -1821
Total magnetic moment (Bohr magnetons per cell): 6.00
Raw total energy (eV/cell): -186.0
Space-group type: P1, No. 1

The following is a PBE+U calculation of a geometry-optimized Li2FeO3 structure, from the Materials Project.

Cell and atoms, written as POSCAR:
```
Li2FeO3
1.0
6.2228 -1.4477 0.0000
6.2228 1.4477 0.0000
-1.4455 0.0000 5.6850
Li Fe O
4 2 6
direct
0.0000 0.0000 0.0000
0.0000 0.0000 0.5000
0.3399 0.3399 0.6596
0.6601 0.6601 0.3404
0.3389 0.3389 0.1730
0.6611 0.6611 0.8270
0.1701 0.1701 0.6149
0.1742 0.1742 0.0637
0.4856 0.4856 0.2403
0.5144 0.5144 0.7597
0.8258 0.8258 0.9363
0.8299 0.8299 0.3851
```

Properties
E_form (meV/atom): -1820
Total magnetic moment (Bohr magnetons per cell): 8.00
Raw total energy (eV/cell): -67.5
Space-group type: C2/m, No. 12